Here is Al2FeSi2O10 after structural relaxation from the Materials Project. Energies are from PBE+U.

## Properties
ΔH_f (0 K) = -2540 meV per atom
final energy = -421.081 eV/cell
volume = 698 Å³/cell

Geometry as POSCAR:
```
Al2FeSi2O10
1.0
6.812 -9.713 0.000
6.812 9.713 0.000
0.000 0.000 5.275
Al Fe Si O
8 4 8 40
direct
0.038 0.962 0.750 Al
0.060 0.560 0.250 Al
0.440 0.940 0.250 Al
0.462 0.538 0.750 Al
0.538 0.462 0.250 Al
0.560 0.060 0.750 Al
0.940 0.440 0.750 Al
0.962 0.038 0.250 Al
0.119 0.881 0.250 Fe
0.381 0.619 0.250 Fe
0.619 0.381 0.750 Fe
0.881 0.119 0.750 Fe
0.085 0.313 0.084 Si
0.187 0.415 0.584 Si
0.313 0.085 0.584 Si
0.415 0.187 0.084 Si
0.585 0.813 0.916 Si
0.687 0.915 0.416 Si
0.813 0.585 0.416 Si
0.915 0.687 0.916 Si
0.018 0.413 0.064 O
0.018 0.819 0.911 O
0.023 0.101 0.580 O
0.087 0.482 0.564 O
0.100 0.726 0.352 O
0.101 0.023 0.080 O
0.170 0.330 0.333 O
0.170 0.330 0.833 O
0.181 0.982 0.589 O
0.226 0.600 0.148 O
0.274 0.900 0.148 O
0.319 0.518 0.589 O
0.330 0.170 0.333 O
0.330 0.170 0.833 O
0.399 0.477 0.080 O
0.400 0.774 0.352 O
0.413 0.018 0.564 O
0.477 0.399 0.580 O
0.482 0.087 0.064 O
0.482 0.681 0.911 O
0.518 0.319 0.089 O
0.518 0.913 0.936 O
0.523 0.601 0.420 O
0.587 0.982 0.436 O
0.600 0.226 0.648 O
0.601 0.523 0.920 O
0.670 0.830 0.167 O
0.670 0.830 0.667 O
0.681 0.482 0.411 O
0.726 0.100 0.852 O
0.774 0.400 0.852 O
0.819 0.018 0.411 O
0.830 0.670 0.167 O
0.830 0.670 0.667 O
0.899 0.977 0.920 O
0.900 0.274 0.648 O
0.913 0.518 0.436 O
0.977 0.899 0.420 O
0.982 0.181 0.089 O
0.982 0.587 0.936 O
```